Record 1
{
  "formula": "TaTiSe4",
  "functional": "r²SCAN",
  "state": "optimized geometry",
  "lattice_angstrom": [[6.140, 0.000, 0.000], [0.000, 3.538, 0.000], [-0.013, 0.000, 6.387]],
  "species": ["Ta", "Ti", "Se", "Se", "Se", "Se"],
  "fractional_positions": [[0.000, 0.000, 0.000], [0.500, 0.500, 0.000], [0.169, 0.500, 0.248], [0.335, 0.000, 0.756], [0.665, 0.000, 0.244], [0.831, 0.500, 0.752]],
  "volume_a3_per_atom": 23.12,
  "final_energy_ev_per_atom": -20.9034,
  "formation_energy_mev_per_atom": -1107.4,
  "total_magnetization_mub_per_fu": 0.000
}

***

Record 2
{
  "formula": "Ba6Mg23",
  "functional": "r²SCAN",
  "state": "optimized geometry",
  "lattice_angstrom": [[0.000, 7.597, 7.597], [7.597, 0.000, 7.597], [7.597, 7.597, 0.000]],
  "species": ["Ba", "Ba", "Ba", "Ba", "Ba", "Ba", "Mg", "Mg", "Mg", "Mg", "Mg", "Mg", "Mg", "Mg", "Mg", "Mg", "Mg", "Mg", "Mg", "Mg", "Mg", "Mg", "Mg", "Mg", "Mg", "Mg", "Mg", "Mg", "Mg"],
  "fractional_positions": [[0.211, 0.211, 0.789], [0.211, 0.789, 0.211], [0.211, 0.789, 0.789], [0.789, 0.211, 0.211], [0.789, 0.211, 0.789], [0.789, 0.789, 0.211], [0.000, 0.000, 0.500], [0.000, 0.500, 0.000], [0.000, 0.500, 0.500], [0.131, 0.623, 0.623], [0.177, 0.177, 0.177], [0.177, 0.177, 0.468], [0.177, 0.468, 0.177], [0.377, 0.377, 0.377], [0.377, 0.377, 0.869], [0.377, 0.869, 0.377], [0.468, 0.177, 0.177], [0.500, 0.000, 0.000], [0.500, 0.000, 0.500], [0.500, 0.500, 0.000], [0.500, 0.500, 0.500], [0.532, 0.823, 0.823], [0.623, 0.131, 0.623], [0.623, 0.623, 0.131], [0.623, 0.623, 0.623], [0.823, 0.532, 0.823], [0.823, 0.823, 0.532], [0.823, 0.823, 0.823], [0.869, 0.377, 0.377]],
  "volume_a3_per_atom": 30.24,
  "final_energy_ev_per_atom": -8.8450,
  "formation_energy_mev_per_atom": -55.6,
  "total_magnetization_mub_per_fu": 1.139
}

***

Record 3
{
  "formula": "P2Rh",
  "functional": "r²SCAN",
  "state": "optimized geometry",
  "lattice_angstrom": [[5.761, 0.000, 0.000], [0.000, 5.803, 0.000], [-2.227, 0.000, 5.414]],
  "species": ["P", "P", "P", "P", "P", "P", "P", "P", "Rh", "Rh", "Rh", "Rh"],
  "fractional_positions": [[0.160, 0.120, 0.367], [0.160, 0.380, 0.867], [0.334, 0.622, 0.687], [0.334, 0.878, 0.187], [0.666, 0.122, 0.813], [0.666, 0.378, 0.313], [0.840, 0.620, 0.133], [0.840, 0.880, 0.633], [0.272, 0.502, 0.290], [0.272, 0.998, 0.790], [0.728, 0.002, 0.210], [0.728, 0.498, 0.710]],
  "volume_a3_per_atom": 15.08,
  "final_energy_ev_per_atom": -14.7735,
  "formation_energy_mev_per_atom": -726.7,
  "total_magnetization_mub_per_fu": 0.000
}

***

Record 4
{
  "formula": "Sr2VGaO6",
  "functional": "r²SCAN",
  "state": "optimized geometry",
  "lattice_angstrom": [[0.000, 3.854, 3.854], [3.854, 0.000, 3.854], [3.854, 3.854, 0.000]],
  "species": ["Sr", "Sr", "V", "Ga", "O", "O", "O", "O", "O", "O"],
  "fractional_positions": [[0.250, 0.250, 0.250], [0.750, 0.750, 0.750], [0.000, 0.000, 0.000], [0.500, 0.500, 0.500], [0.244, 0.244, 0.756], [0.244, 0.756, 0.244], [0.244, 0.756, 0.756], [0.756, 0.244, 0.244], [0.756, 0.244, 0.756], [0.756, 0.756, 0.244]],
  "volume_a3_per_atom": 11.45,
  "final_energy_ev_per_atom": -11.9579,
  "formation_energy_mev_per_atom": -2792.1,
  "total_magnetization_mub_per_fu": 0.000
}

***

Record 5
{
  "formula": "TeO2",
  "functional": "r²SCAN",
  "state": "optimized geometry",
  "lattice_angstrom": [[5.418, 0.000, 0.000], [0.000, 5.627, 0.000], [0.000, 0.000, 12.310]],
  "species": ["Te", "Te", "Te", "Te", "Te", "Te", "Te", "Te", "O", "O", "O", "O", "O", "O", "O", "O", "O", "O", "O", "O", "O", "O", "O", "O"],
  "fractional_positions": [[0.023, 0.120, 0.116], [0.023, 0.380, 0.616], [0.477, 0.620, 0.116], [0.477, 0.880, 0.616], [0.523, 0.120, 0.384], [0.523, 0.380, 0.884], [0.977, 0.620, 0.384], [0.977, 0.880, 0.884], [0.142, 0.166, 0.973], [0.142, 0.334, 0.473], [0.221, 0.088, 0.665], [0.221, 0.412, 0.165], [0.279, 0.588, 0.665], [0.279, 0.912, 0.165], [0.358, 0.666, 0.973], [0.358, 0.834, 0.473], [0.642, 0.166, 0.527], [0.642, 0.334, 0.027], [0.721, 0.088, 0.835], [0.721, 0.412, 0.335], [0.779, 0.588, 0.835], [0.779, 0.912, 0.335], [0.858, 0.666, 0.527], [0.858, 0.834, 0.027]],
  "volume_a3_per_atom": 15.64,
  "final_energy_ev_per_atom": -13.5564,
  "formation_energy_mev_per_atom": -1102.3,
  "total_magnetization_mub_per_fu": 0.000
}

***

Record 6
{
  "formula": "DyInPt2",
  "functional": "r²SCAN",
  "state": "optimized geometry",
  "lattice_angstrom": [[4.547, 0.000, 0.000], [-2.273, 3.937, 0.000], [0.000, 0.000, 8.995]],
  "species": ["Dy", "Dy", "In", "In", "Pt", "Pt", "Pt", "Pt"],
  "fractional_positions": [[0.333, 0.667, 0.250], [0.667, 0.333, 0.750], [0.000, 0.000, 0.000], [0.000, 0.000, 0.500], [0.333, 0.667, 0.592], [0.333, 0.667, 0.908], [0.667, 0.333, 0.092], [0.667, 0.333, 0.408]],
  "volume_a3_per_atom": 20.13,
  "final_energy_ev_per_atom": -40.4815,
  "formation_energy_mev_per_atom": -1097.6,
  "total_magnetization_mub_per_fu": 0.000
}